Entry 1:
Computed, not measured: an optimized crystal structure of Sr3La7GaCo9O30 at the PBE+U level of DFT.

Results
Space group ... C2
V ... 1175.3 Å³ per cell

Cell: 5.464 5.464 45.218 Å, 92.79 92.79 60.69°
Fractional coordinates of all 100 atoms:
Sr (0.049, 0.049, 0.150)
Sr (0.253, 0.248, 0.751)
Sr (0.350, 0.349, 0.050)
Sr (0.651, 0.650, 0.950)
Sr (0.752, 0.747, 0.249)
Sr (0.951, 0.951, 0.850)
La (0.104, 0.095, 0.299)
La (0.149, 0.150, 0.450)
La (0.202, 0.195, 0.600)
La (0.298, 0.299, 0.900)
La (0.399, 0.398, 0.200)
La (0.456, 0.448, 0.349)
La (0.497, 0.503, 0.500)
La (0.552, 0.544, 0.651)
La (0.602, 0.601, 0.800)
La (0.701, 0.702, 0.100)
La (0.805, 0.798, 0.400)
La (0.850, 0.851, 0.550)
La (0.905, 0.896, 0.701)
La (0.998, 0.002, 0.000)
Ga (0.325, 0.326, 0.976)
Ga (0.674, 0.675, 0.024)
Co (0.026, 0.020, 0.074)
Co (0.076, 0.073, 0.225)
Co (0.129, 0.123, 0.375)
Co (0.173, 0.176, 0.525)
Co (0.230, 0.217, 0.675)
Co (0.275, 0.275, 0.825)
Co (0.377, 0.374, 0.125)
Co (0.425, 0.424, 0.274)
Co (0.477, 0.474, 0.425)
Co (0.526, 0.523, 0.575)
Co (0.576, 0.575, 0.726)
Co (0.626, 0.623, 0.875)
Co (0.725, 0.725, 0.175)
Co (0.783, 0.770, 0.325)
Co (0.824, 0.827, 0.475)
Co (0.877, 0.871, 0.625)
Co (0.927, 0.924, 0.775)
Co (0.980, 0.974, 0.926)
O (0.010, 0.886, 0.350)
O (0.041, 0.150, 0.799)
O (0.070, 0.499, 0.644)
O (0.070, 0.539, 0.156)
O (0.087, 0.602, 0.296)
O (0.096, 0.615, 0.804)
O (0.114, 0.990, 0.650)
O (0.162, 0.717, 0.594)
O (0.163, 0.256, 0.102)
O (0.163, 0.617, 0.943)
O (0.186, 0.732, 0.105)
O (0.195, 0.628, 0.456)
O (0.196, 0.113, 0.949)
O (0.243, 0.360, 0.401)
O (0.259, 0.718, 0.244)
O (0.268, 0.814, 0.895)
O (0.282, 0.741, 0.756)
O (0.283, 0.838, 0.406)
O (0.286, 0.200, 0.250)
O (0.346, 0.452, 0.698)
O (0.372, 0.805, 0.544)
O (0.383, 0.837, 0.057)
O (0.385, 0.904, 0.196)
O (0.398, 0.913, 0.704)
O (0.411, 0.290, 0.550)
O (0.437, 0.563, 0.000)
O (0.454, 0.022, 0.494)
O (0.461, 0.930, 0.844)
O (0.496, 0.426, 0.850)
O (0.497, 0.029, 0.004)
O (0.501, 0.930, 0.356)
O (0.548, 0.654, 0.302)
O (0.563, 0.011, 0.144)
O (0.574, 0.504, 0.150)
O (0.579, 0.104, 0.795)
O (0.591, 0.026, 0.656)
O (0.602, 0.127, 0.306)
O (0.640, 0.757, 0.599)
O (0.670, 0.110, 0.444)
O (0.679, 0.243, 0.606)
O (0.682, 0.215, 0.096)
O (0.689, 0.132, 0.954)
O (0.710, 0.589, 0.450)
O (0.744, 0.837, 0.898)
O (0.757, 0.321, 0.394)
O (0.760, 0.225, 0.744)
O (0.775, 0.240, 0.256)
O (0.785, 0.318, 0.904)
O (0.800, 0.714, 0.750)
O (0.850, 0.959, 0.201)
O (0.868, 0.311, 0.046)
O (0.873, 0.398, 0.694)
O (0.887, 0.804, 0.051)
O (0.890, 0.330, 0.556)
O (0.896, 0.421, 0.205)
O (0.939, 0.061, 0.500)
O (0.971, 0.503, 0.996)
O (0.974, 0.409, 0.344)
O (0.978, 0.546, 0.506)
O (0.989, 0.437, 0.856)

Entry 2:
Computed, not measured: an optimized crystal structure of LuGaCoO4 at the PBE+U level of DFT.

Results
Space group ... R3m
V ... 85.7 Å³ per cell

Cell: 8.667 8.667 8.667 Å, 22.79 22.79 22.79°
Fractional coordinates of all 7 atoms:
Lu (0.000, 0.000, 0.000)
Ga (0.785, 0.785, 0.785)
Co (0.214, 0.214, 0.214)
O (0.120, 0.120, 0.120)
O (0.293, 0.293, 0.293)
O (0.709, 0.709, 0.709)
O (0.862, 0.862, 0.862)

| no. | total moment (μB/f.u.) | DFT formation energy (eV per atom) | E_tot (eV per atom) |
| --- | --- | --- | --- |
| 1 | 23.0 | -2.44 | -6.84 |
| 2 | 3.0 | -2.65 | -6.95 |